# Li2MnVP2O8F2

A relaxed Li2MnVP2O8F2 crystal (GGA+U, the Materials Project database).

Values from the calculation:
E above lowest polymorph: 30 meV/atom
crystal system: triclinic
total magnetization: 5.000 μB per formula unit
SG: P-1, No. 2
formation energy from the elements: -263 kJ/mol of atoms
uncorrected energy: -6.89 eV/atom

POSCAR file:
```
Li2MnVP2O8F2
1.0
-2.792 3.959 -2.179
-4.590 -5.834 1.519
1.777 4.585 9.309
Li Mn V P O F
4 2 2 4 16 4
Cartesian
-2.912 2.218 7.311 Li
-0.087 0.861 2.959 Li
-5.518 1.849 5.690 Li
-2.693 0.492 1.339 Li
0.000 0.000 0.000 Mn
-0.508 4.272 3.565 Mn
-2.803 1.355 4.325 V
-2.295 -2.917 0.760 V
-0.186 5.443 6.629 P
-2.004 -1.774 3.836 P
-3.602 4.484 4.813 P
-5.420 -2.733 2.021 P
-4.815 1.074 7.643 O
-2.046 -0.302 3.330 O
-1.528 5.075 7.349 O
0.104 4.458 5.462 O
-3.289 -2.199 4.536 O
-4.499 1.236 0.421 O
-3.580 -0.643 9.076 O
-3.554 1.942 2.551 O
-2.051 0.768 6.099 O
-2.026 3.353 -0.426 O
-1.106 1.474 8.228 O
-2.316 4.909 4.114 O
-5.709 -1.748 3.187 O
-4.078 -2.365 1.300 O
-3.559 3.012 5.320 O
-0.791 1.636 1.006 O
-3.724 3.758 8.180 F
-1.080 2.194 3.898 F
-4.525 0.516 4.752 F
-1.882 -1.048 0.469 F
```

=====

# Li2MnVP2O8F2

A relaxed Li2MnVP2O8F2 crystal (GGA+U, the Materials Project database).

Values from the calculation:
E above lowest polymorph: 25 meV/atom
crystal system: triclinic
total magnetization: 6.000 μB per formula unit
SG: P-1, No. 2
formation energy from the elements: -264 kJ/mol of atoms
uncorrected energy: -6.89 eV/atom

POSCAR file:
```
Li2MnVP2O8F2
1.0
-2.420 -2.735 5.915
-2.764 -6.902 -0.366
7.062 -3.300 1.632
Li Mn V P O F
4 2 2 4 16 4
Cartesian
1.803 -10.385 5.454 Li
-0.543 -7.339 1.694 Li
2.421 -5.598 5.487 Li
0.075 -2.553 1.727 Li
0.000 0.000 0.000 Mn
2.149 -5.101 0.633 Mn
-2.592 -4.818 2.774 V
2.321 -3.018 3.774 V
4.589 -5.175 2.923 P
-0.162 -4.892 5.118 P
2.040 -8.045 2.063 P
-2.711 -7.762 4.258 P
2.756 -7.881 3.405 O
0.759 -8.901 2.217 O
5.862 -4.270 2.790 O
5.200 -6.510 3.414 O
3.861 -5.333 1.576 O
0.428 -6.239 5.641 O
2.970 -8.691 0.972 O
-1.789 -8.366 3.157 O
3.667 -4.572 4.024 O
-1.092 -4.246 6.209 O
1.450 -6.698 1.540 O
-1.983 -7.604 5.605 O
-3.322 -6.427 3.767 O
-3.984 -8.667 4.391 O
1.119 -4.037 4.964 O
-0.878 -5.056 3.776 O
3.728 -6.901 5.839 F
0.449 -9.138 4.976 F
1.429 -3.800 2.205 F
-1.850 -6.037 1.342 F
```

=====

# Li2MnVP2O8F2

A relaxed Li2MnVP2O8F2 crystal (GGA+U, the Materials Project database).

Values from the calculation:
E above lowest polymorph: 35 meV/atom
crystal system: triclinic
total magnetization: 6.000 μB per formula unit
SG: P1, No. 1
formation energy from the elements: -263 kJ/mol of atoms
uncorrected energy: -6.88 eV/atom

POSCAR file:
```
Li2MnVP2O8F2
1.0
12.852 2.453 6.719
-0.732 5.298 0.056
-2.034 -2.805 6.565
Li Mn V P O F
6 3 3 6 24 6
Cartesian
-1.548 -0.012 5.362 Li
1.967 -0.301 7.860 Li
3.661 -0.023 5.387 Li
6.406 4.966 7.949 Li
8.138 5.257 5.473 Li
11.626 4.951 7.983 Li
2.451 2.486 6.670 Mn
3.634 3.710 9.966 Mn
8.869 3.708 10.016 Mn
-0.726 5.291 0.079 V
1.225 1.232 3.322 V
7.635 2.465 6.681 V
-0.057 3.793 5.077 P
1.782 3.987 1.615 P
4.935 1.167 8.240 P
5.139 3.770 5.104 P
8.311 0.950 11.708 P
10.151 1.161 8.278 P
-0.518 -1.729 6.009 O
0.040 2.646 4.064 O
0.265 -0.164 4.320 O
0.444 3.804 0.809 O
0.902 1.376 7.171 O
1.251 4.004 5.886 O
1.669 5.133 2.623 O
2.161 2.644 2.319 O
3.636 0.968 7.398 O
3.964 3.577 6.102 O
4.745 5.129 4.449 O
4.837 2.323 9.240 O
5.237 2.620 4.103 O
5.362 -0.172 8.907 O
6.133 1.417 7.251 O
6.470 3.946 5.928 O
7.903 2.297 11.054 O
8.412 -0.189 10.699 O
8.837 0.985 7.443 O
9.156 3.521 6.139 O
9.628 1.125 12.550 O
9.842 5.113 8.982 O
10.067 2.310 9.280 O
10.611 6.690 7.336 O
-0.041 1.027 1.759 F
2.272 3.545 8.418 F
2.492 1.401 4.775 F
7.511 3.462 8.337 F
7.786 1.477 5.033 F
10.227 3.952 11.685 F
```

=====

# Li2MnVP2O8F2

A relaxed Li2MnVP2O8F2 crystal (GGA+U, the Materials Project database).

Values from the calculation:
E above lowest polymorph: 38 meV/atom
crystal system: triclinic
total magnetization: 5.334 μB per formula unit
SG: P1, No. 1
formation energy from the elements: -263 kJ/mol of atoms
uncorrected energy: -6.88 eV/atom

POSCAR file:
```
Li2MnVP2O8F2
1.0
-4.948 -0.415 1.641
0.547 -9.095 5.049
1.662 3.208 9.877
Li Mn V P O F
6 3 3 6 24 6
Cartesian
-3.209 -6.432 13.498 Li
-2.083 -2.112 9.125 Li
0.305 -3.927 13.546 Li
-3.051 -2.370 3.019 Li
-0.663 -4.207 7.443 Li
0.475 0.135 3.065 Li
-1.107 -7.701 10.802 Mn
-2.573 -2.242 6.066 Mn
0.744 -0.427 10.189 Mn
-4.385 -9.495 6.693 V
-3.473 -5.881 6.386 V
-0.178 -4.066 10.494 V
-2.257 -3.269 13.057 P
-3.045 -5.270 9.578 P
-1.521 -8.306 7.624 P
-1.192 2.003 8.947 P
0.302 -1.030 6.976 P
-0.499 -3.037 3.518 P
-1.660 -6.330 14.895 O
-3.899 -5.504 8.300 O
-2.680 -1.928 12.424 O
-2.620 -6.599 10.217 O
-3.625 -2.224 7.719 O
-4.207 -2.526 4.869 O
-1.255 -4.036 12.152 O
-1.818 -4.349 9.274 O
-3.068 -6.257 4.461 O
-1.932 -6.984 6.986 O
-2.037 1.803 7.650 O
0.581 -6.163 13.717 O
-3.299 -0.136 2.858 O
-0.683 -8.101 8.925 O
-0.777 0.665 9.583 O
0.332 -0.012 12.088 O
-0.932 -1.967 7.260 O
-1.514 -2.257 4.420 O
1.461 -3.768 11.718 O
0.899 -4.084 8.839 O
-0.120 0.302 6.358 O
-0.087 -4.362 4.140 O
1.139 -0.842 8.280 O
-1.057 0.028 1.673 O
-2.914 0.868 11.783 F
-2.974 -0.236 5.800 F
-2.209 -4.301 6.347 F
-0.553 -2.125 10.226 F
0.201 -5.998 10.769 F
0.214 -7.107 4.775 F
```

=====

# Li2MnVP2O8F2

A relaxed Li2MnVP2O8F2 crystal (GGA+U, the Materials Project database).

Values from the calculation:
E above lowest polymorph: 26 meV/atom
crystal system: triclinic
total magnetization: 6.000 μB per formula unit
SG: P-1, No. 2
formation energy from the elements: -264 kJ/mol of atoms
uncorrected energy: -6.89 eV/atom

POSCAR file:
```
Li2MnVP2O8F2
1.0
-0.774 -3.673 -3.648
7.339 0.705 1.331
-2.263 -9.774 11.073
Li Mn V P O F
6 3 3 6 24 6
Cartesian
-1.058 -5.435 -1.118 Li
3.156 -6.738 3.308 Li
1.741 -2.485 0.390 Li
2.560 -10.258 8.366 Li
1.145 -6.005 5.448 Li
5.359 -7.308 9.874 Li
0.000 0.000 0.000 Mn
-0.804 -8.848 5.171 Mn
5.105 -3.895 3.585 Mn
3.669 0.352 0.666 V
2.867 -8.495 5.835 V
1.434 -4.248 2.921 V
2.139 -5.055 -0.296 P
-0.052 -7.114 2.502 P
-1.562 -10.575 7.874 P
5.863 -2.168 0.882 P
4.353 -5.629 6.254 P
2.162 -7.688 9.052 P
0.112 -10.582 5.024 O
-0.380 -8.428 3.284 O
-2.585 -11.472 7.077 O
-1.323 -6.337 2.112 O
2.487 -3.753 -1.067 O
2.879 -8.727 3.868 O
2.397 -10.484 6.209 O
1.429 -4.486 0.966 O
-0.302 -11.334 8.248 O
0.960 -6.240 3.302 O
-1.251 -9.274 7.067 O
6.586 -2.751 -0.379 O
-2.285 -9.992 9.135 O
5.553 -3.469 1.689 O
3.341 -6.504 5.454 O
4.603 -1.409 0.508 O
2.872 -8.257 7.790 O
1.904 -2.259 2.547 O
1.422 -4.016 4.888 O
1.815 -8.990 9.823 O
5.625 -6.406 6.644 O
6.887 -1.271 1.679 O
4.682 -4.315 5.472 O
4.189 -2.161 3.732 O
2.307 -12.114 8.668 F
4.737 -9.131 5.910 F
0.999 -7.864 5.766 F
3.303 -4.879 2.990 F
-0.435 -3.612 2.846 F
1.994 -0.629 0.088 F
```

=====

# Li2MnVP2O8F2

A relaxed Li2MnVP2O8F2 crystal (GGA+U, the Materials Project database).

Values from the calculation:
E above lowest polymorph: 25 meV/atom
crystal system: triclinic
total magnetization: 6.000 μB per formula unit
SG: P-1, No. 2
formation energy from the elements: -264 kJ/mol of atoms
uncorrected energy: -6.89 eV/atom

POSCAR file:
```
Li2MnVP2O8F2
1.0
-3.805 1.370 3.254
3.013 -6.487 2.385
10.071 8.386 7.150
Li Mn V P O F
6 3 3 6 24 6
Cartesian
0.024 -4.131 4.809 Li
2.277 0.097 5.104 Li
9.255 7.399 7.980 Li
7.002 3.171 7.685 Li
3.919 2.059 3.441 Li
5.361 1.209 9.348 Li
7.726 2.720 10.658 Mn
3.133 4.878 5.202 Mn
1.554 0.549 2.131 Mn
6.228 5.971 9.464 V
4.640 1.634 6.395 V
3.051 -2.703 3.325 V
-1.400 -0.440 3.380 P
0.710 2.909 4.138 P
8.570 0.360 8.651 P
10.679 3.708 9.409 P
5.471 -0.748 4.412 P
3.809 4.017 8.377 P
3.177 4.731 7.169 O
1.407 3.882 5.136 O
7.534 1.464 9.103 O
3.089 -2.868 5.334 O
7.981 6.970 9.540 O
2.722 1.320 6.772 O
4.856 2.935 7.936 O
-0.337 0.250 2.467 O
6.191 6.137 7.455 O
1.746 1.804 3.687 O
7.873 -0.613 7.653 O
9.617 3.019 10.322 O
9.635 1.037 7.731 O
1.299 -3.702 3.249 O
4.423 0.334 4.853 O
10.060 4.425 8.218 O
6.557 1.949 6.017 O
-2.444 0.661 3.832 O
-0.355 2.231 5.059 O
8.270 3.649 6.114 O
6.103 -1.462 5.620 O
11.724 2.608 8.957 O
1.010 -0.380 6.675 O
-0.780 -1.156 4.571 O
7.195 4.227 9.244 F
5.132 0.243 7.764 F
4.148 3.026 5.025 F
2.085 -0.958 3.545 F
4.019 -4.445 3.097 F
5.260 7.714 9.692 F
```

=====

# Li2MnVP2O8F2

A relaxed Li2MnVP2O8F2 crystal (GGA+U, the Materials Project database).

Values from the calculation:
E above lowest polymorph: 28 meV/atom
crystal system: triclinic
total magnetization: 6.000 μB per formula unit
SG: P1, No. 1
formation energy from the elements: -264 kJ/mol of atoms
uncorrected energy: -6.89 eV/atom

POSCAR file:
```
Li2MnVP2O8F2
1.0
-5.139 0.449 1.425
0.363 -1.754 -7.261
2.080 -8.828 5.150
Li Mn V P O F
4 2 2 4 16 4
Cartesian
-1.827 -1.596 -5.081 Li
-0.782 -5.996 -2.496 Li
-1.924 -4.132 1.824 Li
-0.867 -8.532 4.379 Li
1.395 -6.157 -4.686 Mn
-0.830 -7.262 0.935 Mn
0.003 -0.023 -0.008 V
-1.856 -2.861 -1.620 V
0.127 -3.237 -4.221 P
-3.846 -2.483 0.980 P
1.166 -7.662 -1.649 P
-2.829 -6.890 3.517 P
-0.202 -2.788 -5.670 O
-3.642 -2.312 -2.336 O
-1.015 -2.577 -3.405 O
-3.716 -0.919 0.899 O
-0.009 -4.803 -4.142 O
-2.711 -3.145 0.166 O
-0.080 -3.403 -0.901 O
-3.515 -2.922 2.440 O
0.839 -7.176 -3.097 O
-2.598 -6.741 0.238 O
0.003 -7.015 -0.842 O
-2.693 -5.320 3.474 O
1.030 -9.227 -1.610 O
-1.669 -7.550 2.712 O
0.928 -7.810 1.635 O
-2.517 -7.372 4.960 O
-1.496 -0.915 -1.081 F
-2.182 -4.780 -2.122 F
-0.498 -5.255 1.450 F
-1.230 -9.303 0.371 F
```

=====

# Li2MnVP2O8F2

A relaxed Li2MnVP2O8F2 crystal (GGA+U, the Materials Project database).

Values from the calculation:
E above lowest polymorph: 0 meV/atom
total magnetization: 0.001 μB per formula unit
formation energy from the elements: -266 kJ/mol of atoms
uncorrected energy: -6.92 eV/atom

POSCAR file:
```
Li2MnVP2O8F2
1.0
5.255 0.001 0.063
2.506 2.440 6.681
-1.300 -8.092 6.568
Li Mn V P O F
4 2 2 4 16 4
Cartesian
3.739 -0.043 5.435 Li
4.462 -5.307 5.409 Li
2.722 -5.608 7.878 Li
1.999 -0.343 7.903 Li
4.482 -1.606 9.995 Mn
5.207 -6.869 9.972 Mn
3.231 -2.826 6.656 V
0.000 0.000 0.000 V
0.720 -1.504 5.050 P
3.951 -4.329 11.706 P
5.741 -4.147 8.262 P
2.510 -1.322 1.607 P
4.788 -1.713 6.091 O
0.256 -6.979 6.004 O
1.674 -3.938 7.221 O
6.205 1.328 7.310 O
4.040 -5.481 10.693 O
0.809 -2.657 4.037 O
2.421 -0.169 2.619 O
5.652 -2.994 9.276 O
5.561 -0.158 4.428 O
3.536 -2.985 11.020 O
0.900 -5.492 8.885 O
2.924 -2.666 2.293 O
4.415 -4.323 7.456 O
3.692 0.941 7.481 O
2.046 -1.329 5.857 O
2.770 -6.592 5.832 O
3.826 -7.075 8.326 F
3.102 -1.811 8.351 F
2.635 1.425 4.986 F
3.358 -3.840 4.961 F
```

=====

# Li2MnVP2O8F2

A relaxed Li2MnVP2O8F2 crystal (GGA+U, the Materials Project database).

Values from the calculation:
E above lowest polymorph: 28 meV/atom
crystal system: triclinic
total magnetization: 6.000 μB per formula unit
SG: P1, No. 1
formation energy from the elements: -264 kJ/mol of atoms
uncorrected energy: -6.89 eV/atom

POSCAR file:
```
Li2MnVP2O8F2
1.0
2.764 -2.483 -6.643
4.499 5.317 0.081
3.143 -2.806 6.610
Li Mn V P O F
4 2 2 4 16 4
Cartesian
3.981 2.522 1.296 Li
4.702 -2.796 1.234 Li
5.705 2.805 -1.182 Li
6.415 -2.470 -1.259 Li
5.199 0.011 0.022 Mn
6.415 1.264 3.353 Mn
0.014 0.004 0.009 V
3.982 -1.245 -3.315 V
2.513 -1.311 1.567 P
2.720 1.328 -1.554 P
7.688 -1.268 1.594 P
7.898 1.301 -1.510 P
1.554 1.122 -0.551 O
2.405 -0.165 2.572 O
2.809 0.176 -2.559 O
3.002 -2.684 -2.278 O
3.687 -1.101 0.561 O
4.051 1.496 -0.740 O
4.723 -3.817 -0.767 O
4.937 0.201 -4.339 O
5.470 -0.129 4.387 O
5.685 3.831 0.830 O
6.363 -1.455 0.764 O
6.721 1.089 -0.510 O
7.394 2.660 2.325 O
7.576 -0.120 2.600 O
8.020 0.163 -2.521 O
8.867 -1.048 0.612 O
2.684 -1.443 -4.891 F
5.035 1.088 1.789 F
5.298 -1.070 -1.792 F
7.778 1.487 4.993 F
```

=====

What did the first record say?
# Li2MnVP2O8F2

A relaxed Li2MnVP2O8F2 crystal (GGA+U, the Materials Project database).

Values from the calculation:
E above lowest polymorph: 30 meV/atom
crystal system: triclinic
total magnetization: 5.000 μB per formula unit
SG: P-1, No. 2
formation energy from the elements: -263 kJ/mol of atoms
uncorrected energy: -6.89 eV/atom

POSCAR file:
```
Li2MnVP2O8F2
1.0
-2.792 3.959 -2.179
-4.590 -5.834 1.519
1.777 4.585 9.309
Li Mn V P O F
4 2 2 4 16 4
Cartesian
-2.912 2.218 7.311 Li
-0.087 0.861 2.959 Li
-5.518 1.849 5.690 Li
-2.693 0.492 1.339 Li
0.000 0.000 0.000 Mn
-0.508 4.272 3.565 Mn
-2.803 1.355 4.325 V
-2.295 -2.917 0.760 V
-0.186 5.443 6.629 P
-2.004 -1.774 3.836 P
-3.602 4.484 4.813 P
-5.420 -2.733 2.021 P
-4.815 1.074 7.643 O
-2.046 -0.302 3.330 O
-1.528 5.075 7.349 O
0.104 4.458 5.462 O
-3.289 -2.199 4.536 O
-4.499 1.236 0.421 O
-3.580 -0.643 9.076 O
-3.554 1.942 2.551 O
-2.051 0.768 6.099 O
-2.026 3.353 -0.426 O
-1.106 1.474 8.228 O
-2.316 4.909 4.114 O
-5.709 -1.748 3.187 O
-4.078 -2.365 1.300 O
-3.559 3.012 5.320 O
-0.791 1.636 1.006 O
-3.724 3.758 8.180 F
-1.080 2.194 3.898 F
-4.525 0.516 4.752 F
-1.882 -1.048 0.469 F
```